Below is an optimized crystal structure of Li2HgAu, with properties calculated at the meta-GGA r2SCAN level.

Unit cell a=4.488 b=4.488 c=4.488 alpha=60.00 beta=60.00 gamma=60.00
Atoms (fractional coordinates):
Li1 0.000 0.000 0.000
Li2 0.500 0.500 0.500
Hg1 0.750 0.750 0.750
Au1 0.250 0.250 0.250

Values from the calculation:
- energy (Ha/atom) = -0.9796
- magnetization (μB/atom) = 0.000
- formation energy (kJ/mol of formula units) = -183